Here is a geometry-optimized La3Co3O8 structure from Materials Project. Energies are from PBE+U.

space-group type = P2_1 (4)
raw total energy = -7.22 eV/atom
ΔE_f = -3454 kJ/mol of formula units

Cell: 5.433 5.655 11.765 Å, 89.63 90.00 90.00°
Fractional coordinates of all 28 atoms:
La 0.256 0.268 0.189
Co 0.250 0.750 0.664
O 0.495 0.998 0.307
O 0.670 0.857 0.000
Co 0.299 0.812 0.002
O 0.231 0.677 0.853
O 0.741 0.312 0.841
O 0.995 0.002 0.693
Co 0.799 0.188 0.998
O 0.007 0.509 0.356
O 0.998 0.486 0.644
Co 0.250 0.758 0.332
La 0.753 0.733 0.193
La 0.756 0.732 0.811
O 0.507 0.491 0.644
O 0.008 0.001 0.307
Co 0.750 0.250 0.336
O 0.498 0.514 0.356
La 0.250 0.251 0.499
O 0.241 0.688 0.159
O 0.731 0.323 0.147
La 0.253 0.267 0.807
O 0.170 0.143 0.000
O 0.250 0.830 0.492
O 0.750 0.170 0.508
O 0.508 0.999 0.693
La 0.750 0.749 0.501
Co 0.750 0.242 0.668